Record 1
VASP calculation (GGA-PBE) on Sm12SnGe4S28 after structural relaxation. Values from VASP.

```
&SYSTEM
  ibrav = 0, nat = 45, ntyp = 4
/
ATOMIC_SPECIES
Sm 150.36 Sm.upf
Sn 118.71 Sn.upf
Ge 72.64 Ge.upf
S 32.06 S.upf
ATOMIC_POSITIONS angstrom
Sm 0.000 0.000 0.000
Sm 5.150 -0.231 8.563
Sm -1.928 0.003 4.932
Sm -1.886 5.569 5.127
Sm 0.445 2.691 2.994
Sm 0.639 8.697 3.096
Sm 4.666 5.572 0.741
Sm 4.823 -0.001 0.810
Sm 2.189 2.903 7.405
Sm 2.153 -3.118 7.643
Sm 5.148 8.689 3.923
Sm 5.325 2.699 3.841
Sn 7.700 6.963 1.907
Ge -2.430 3.258 7.761
Ge -2.375 -2.561 7.708
Ge 2.647 0.393 4.813
Ge 2.646 6.178 4.831
S -2.102 8.301 4.057
S -2.046 2.715 4.226
S -0.329 5.614 2.692
S -0.246 -0.234 2.755
S -2.401 1.059 7.711
S -2.405 -4.748 7.754
S 2.289 4.142 1.007
S 2.349 10.005 1.037
S -0.501 -1.620 6.911
S -0.473 4.176 7.113
S 0.727 7.104 5.545
S 0.740 1.300 5.573
S 2.954 1.297 2.794
S 2.973 7.103 2.797
S 2.654 3.984 4.703
S 2.641 -1.807 4.942
S 5.514 2.704 1.071
S 5.688 8.304 1.082
S 2.303 5.576 8.353
S 2.293 -0.186 8.456
S 4.244 1.306 6.110
S 4.251 7.096 6.097
S 5.885 -0.230 3.347
S 5.979 5.610 3.312
S 9.499 2.694 0.437
S 9.425 8.311 0.568
S 6.039 4.182 6.521
S 6.193 -1.629 6.353
CELL_PARAMETERS angstrom
10.102 0.000 0.000
-0.004 11.608 0.000
-5.048 -5.797 8.735
```

Results
M_tot ... 0.0 μB/cell
ΔH_f (0 K) ... -1811 meV per atom


Record 2
VASP calculation (GGA-PBE) on Li2H2C6N9Cl after structural relaxation. Values from VASP.

```
&SYSTEM
  ibrav = 0, nat = 40, ntyp = 5
/
ATOMIC_SPECIES
Li 6.94 Li.upf
H 1.01 H.upf
C 12.01 C.upf
N 14.01 N.upf
Cl 35.45 Cl.upf
ATOMIC_POSITIONS angstrom
Li 0.000 0.000 0.000
Li 0.036 2.333 2.667
Li 3.590 8.257 1.834
Li 3.593 3.066 0.989
H 3.554 6.410 6.409
H 3.548 2.120 3.097
H 7.070 8.724 2.904
H 7.122 3.692 0.762
C 3.573 6.172 4.451
C 3.587 8.349 5.753
C 3.569 4.035 3.765
C 3.595 10.488 5.071
C 3.575 5.728 2.207
C 3.616 10.058 7.299
C 7.130 6.875 3.636
C 7.144 9.076 4.898
C 7.131 5.222 2.125
C 7.173 9.551 7.097
C 7.151 4.736 4.384
C 7.175 11.265 5.585
N 3.567 4.863 4.797
N 3.573 6.982 5.567
N 3.563 2.670 3.954
N 3.582 9.174 4.709
N 3.578 6.662 3.220
N 3.574 4.393 2.449
N 3.606 8.712 7.060
N 3.612 10.982 6.293
N 3.575 6.339 1.007
N 7.118 8.245 3.801
N 7.120 6.536 2.317
N 7.154 8.594 6.134
N 7.148 6.067 4.677
N 7.157 10.389 4.552
N 7.126 4.708 0.838
N 7.184 10.862 6.903
N 7.161 3.964 5.489
N 7.146 4.271 3.094
Cl 1.807 1.355 1.255
Cl 5.377 1.345 1.277
CELL_PARAMETERS angstrom
7.131 0.000 0.000
0.026 8.640 0.000
0.054 4.273 7.522
```

Results
M_tot ... 0.0 μB/cell
ΔH_f (0 K) ... -298 meV per atom


Record 3
VASP calculation (GGA-PBE) on CuAgS after structural relaxation. Values from VASP.

```
&SYSTEM
  ibrav = 0, nat = 12, ntyp = 3
/
ATOMIC_SPECIES
Cu 63.55 Cu.upf
Ag 107.87 Ag.upf
S 32.06 S.upf
ATOMIC_POSITIONS angstrom
Cu 0.000 0.152 2.114
Cu 0.000 6.653 6.341
Cu 1.983 3.251 6.341
Cu 1.983 3.554 2.114
Ag 0.000 3.402 0.000
Ag 0.000 3.402 4.227
Ag 1.983 0.000 0.000
Ag 1.983 0.000 4.227
S 0.000 2.153 6.341
S 0.000 4.652 2.114
S 1.983 1.249 2.114
S 1.983 5.555 6.341
CELL_PARAMETERS angstrom
3.967 0.000 0.000
0.000 6.805 0.000
0.000 0.000 8.455
```

Results
M_tot ... 0.0 μB/cell
ΔH_f (0 K) ... -273 meV per atom


Record 4
VASP calculation (GGA-PBE) on Nd2Sn3Pb3S12 after structural relaxation. Values from VASP.

```
&SYSTEM
  ibrav = 0, nat = 40, ntyp = 4
/
ATOMIC_SPECIES
Nd 144.24 Nd.upf
Sn 118.71 Sn.upf
Pb 207.20 Pb.upf
S 32.06 S.upf
ATOMIC_POSITIONS angstrom
Nd 0.000 1.803 0.000
Nd 0.000 8.130 7.910
Nd 0.000 12.478 2.041
Nd 0.000 18.804 5.869
Sn 1.995 1.565 4.036
Sn 1.995 5.149 9.985
Sn 1.995 8.480 4.311
Sn 1.995 12.128 10.180
Sn 1.995 15.458 4.116
Sn 1.995 19.042 9.905
Pb 0.000 2.539 7.278
Pb 0.000 5.007 2.965
Pb 0.000 8.512 0.557
Pb 0.000 12.095 6.425
Pb 0.000 15.600 8.833
Pb 0.000 18.068 1.409
S 0.000 0.239 3.328
S 0.000 5.000 11.668
S 0.000 5.270 8.227
S 0.000 7.029 5.249
S 0.000 9.918 3.390
S 0.000 10.689 9.259
S 0.000 13.579 11.117
S 0.000 15.337 2.358
S 0.000 15.607 5.799
S 0.000 20.369 9.197
S 1.995 0.272 6.249
S 1.995 2.622 9.741
S 1.995 2.928 1.853
S 1.995 3.657 5.301
S 1.995 7.065 2.199
S 1.995 7.714 9.928
S 1.995 9.712 6.555
S 1.995 10.895 0.686
S 1.995 12.893 4.059
S 1.995 13.542 8.067
S 1.995 16.950 11.169
S 1.995 17.679 7.721
S 1.995 17.985 3.873
S 1.995 20.335 0.380
CELL_PARAMETERS angstrom
3.990 0.000 0.000
0.000 20.607 0.000
0.000 0.000 11.737
```

Results
M_tot ... 0.0 μB/cell
ΔH_f (0 K) ... -1139 meV per atom


Record 5
VASP calculation (GGA-PBE) on Te4MoW3Se2S2 after structural relaxation. Values from VASP.

```
&SYSTEM
  ibrav = 0, nat = 12, ntyp = 5
/
ATOMIC_SPECIES
Te 127.60 Te.upf
Mo 95.94 Mo.upf
W 183.84 W.upf
Se 78.96 Se.upf
S 32.06 S.upf
ATOMIC_POSITIONS angstrom
Te 0.000 0.000 0.000
Te 0.000 0.000 3.768
Te 0.000 1.962 32.869
Te 0.000 1.962 36.637
Mo 0.000 0.000 19.545
W 0.000 0.000 34.753
W 0.000 1.962 1.883
W 0.000 1.962 27.181
Se 0.000 1.962 17.897
Se 0.000 1.962 21.194
S 0.000 0.000 25.674
S 0.000 0.000 28.688
CELL_PARAMETERS angstrom
3.398 0.000 0.000
-1.699 2.943 0.000
0.000 0.000 40.670
```

Results
M_tot ... 0.0 μB/cell
ΔH_f (0 K) ... -437 meV per atom


Record 6
VASP calculation (GGA-PBE) on NiTe after structural relaxation. Values from VASP.

```
&SYSTEM
  ibrav = 0, nat = 12, ntyp = 2
/
ATOMIC_SPECIES
Ni 58.69 Ni.upf
Te 127.60 Te.upf
ATOMIC_POSITIONS angstrom
Ni 0.000 0.000 2.645
Ni 0.000 0.000 17.448
Ni 0.000 2.227 10.750
Ni 0.000 2.227 16.041
Ni 1.928 1.113 4.052
Ni 1.928 1.113 9.343
Te 0.000 0.000 5.188
Te 0.000 0.000 14.905
Te 0.000 2.227 8.207
Te 0.000 2.227 18.584
Te 1.928 1.113 1.509
Te 1.928 1.113 11.886
CELL_PARAMETERS angstrom
3.857 0.000 0.000
-1.928 3.340 0.000
0.000 0.000 20.093
```

Results
ΔH_f (0 K) ... -402 meV per atom


Record 7
VASP calculation (GGA-PBE) on K2UF6 after structural relaxation. Values from VASP.

```
&SYSTEM
  ibrav = 0, nat = 18, ntyp = 3
/
ATOMIC_SPECIES
K 39.10 K.upf
U 238.03 U.upf
F 19.00 F.upf
ATOMIC_POSITIONS angstrom
K 2.018 5.209 5.240
K 3.097 3.238 1.747
K 2.018 -3.238 5.240
K 3.097 -5.209 1.747
U 2.018 1.015 5.240
U 3.097 -1.015 1.747
F -0.035 0.970 4.420
F 1.024 2.814 6.123
F 1.044 -0.970 0.926
F 2.103 0.863 2.724
F 3.012 2.814 4.357
F 1.024 -0.863 6.217
F 4.092 0.863 0.769
F 2.104 -2.814 2.630
F 3.012 -0.863 4.262
F 4.071 0.970 6.060
F 4.091 -2.814 0.864
F 5.150 -0.970 2.567
CELL_PARAMETERS angstrom
3.637 -6.326 0.000
3.637 6.326 0.000
-2.159 0.000 6.986
```

Results
ΔH_f (0 K) ... -3625 meV per atom


Record 8
VASP calculation (GGA-PBE) on Ba2HoUO6 after structural relaxation. Values from VASP.

```
&SYSTEM
  ibrav = 0, nat = 10, ntyp = 4
/
ATOMIC_SPECIES
Ba 137.33 Ba.upf
Ho 164.93 Ho.upf
U 238.03 U.upf
O 16.00 O.upf
ATOMIC_POSITIONS angstrom
Ba 2.198 2.198 2.198
Ba 6.593 6.593 6.593
Ho 0.000 0.000 0.000
U 4.396 4.396 4.396
O 4.396 4.396 2.242
O 4.396 2.242 4.396
O 6.549 4.396 4.396
O 2.242 4.396 4.396
O 4.396 6.549 4.396
O 4.396 4.396 6.549
CELL_PARAMETERS angstrom
0.000 4.396 4.396
4.396 0.000 4.396
4.396 4.396 0.000
```

Results
M_tot ... 1.0 μB/cell
ΔH_f (0 K) ... -3668 meV per atom


Record 9
VASP calculation (GGA-PBE) on CsSc3Cu2Te6 after structural relaxation. Values from VASP.

```
&SYSTEM
  ibrav = 0, nat = 12, ntyp = 4
/
ATOMIC_SPECIES
Cs 132.91 Cs.upf
Sc 44.96 Sc.upf
Cu 63.55 Cu.upf
Te 127.60 Te.upf
ATOMIC_POSITIONS angstrom
Cs 0.000 0.000 0.000
Sc -2.033 0.000 4.787
Sc 3.690 0.000 3.462
Sc 10.147 0.000 6.111
Cu 4.627 0.000 0.786
Cu 9.211 0.000 8.788
Te 0.799 0.000 4.030
Te 1.850 0.000 8.178
Te 6.491 0.000 2.778
Te 7.346 0.000 6.795
Te 11.987 0.000 1.396
Te 13.039 0.000 5.544
CELL_PARAMETERS angstrom
8.952 -2.079 0.000
8.952 2.079 0.000
-4.066 0.000 9.574
```

Results
M_tot ... 0.0 μB/cell
ΔH_f (0 K) ... -1178 meV per atom


Record 10
VASP calculation (GGA-PBE) on NaCaAlSi2O7 after structural relaxation. Values from VASP.

```
&SYSTEM
  ibrav = 0, nat = 24, ntyp = 5
/
ATOMIC_SPECIES
Na 22.99 Na.upf
Ca 40.08 Ca.upf
Al 26.98 Al.upf
Si 28.09 Si.upf
O 16.00 O.upf
ATOMIC_POSITIONS angstrom
Na 1.727 0.000 0.000
Na 9.159 0.000 0.000
Ca 5.443 1.795 4.967
Ca 5.443 -1.795 4.967
Al 2.722 2.729 2.482
Al 2.722 -2.729 2.482
Si 5.443 3.900 2.710
Si 3.900 0.000 2.243
Si 6.986 0.000 2.243
Si 5.443 -3.900 2.710
O 0.000 0.000 3.280
O 4.142 3.179 3.454
O 5.443 3.782 1.113
O 3.228 1.326 1.527
O 6.744 3.179 3.454
O 3.976 0.000 3.844
O 3.228 -1.326 1.527
O 5.443 0.000 1.547
O 7.658 1.326 1.527
O 6.910 0.000 3.844
O 4.142 -3.179 3.454
O 7.658 -1.326 1.527
O 5.443 -3.782 1.113
O 6.744 -3.179 3.454
CELL_PARAMETERS angstrom
5.443 -5.459 0.000
5.443 5.459 0.000
0.000 0.000 5.108
```

Results
M_tot ... 0.0 μB/cell
ΔH_f (0 K) ... -3257 meV per atom


Record 11
VASP calculation (GGA-PBE) on K15Re7N19 after structural relaxation. Values from VASP.

```
&SYSTEM
  ibrav = 0, nat = 82, ntyp = 3
/
ATOMIC_SPECIES
K 39.10 K.upf
Re 186.21 Re.upf
N 14.01 N.upf
ATOMIC_POSITIONS angstrom
K 0.000 0.000 0.000
K -0.759 1.278 8.427
K -1.683 11.601 5.363
K -2.345 10.436 16.234
K -0.862 4.586 10.264
K -1.464 7.509 12.552
K 0.260 7.209 0.132
K 0.145 6.362 3.756
K -0.468 9.261 7.394
K 0.935 2.935 5.383
K 0.334 4.478 17.339
K -0.123 7.875 16.096
K 1.345 1.566 15.140
K 1.274 6.452 7.420
K 1.492 10.402 0.295
K 2.674 -0.274 9.631
K 1.794 1.425 18.967
K 2.012 5.376 11.841
K 1.941 10.261 4.121
K 3.409 3.953 3.166
K 2.952 7.350 1.922
K 2.352 8.892 13.878
K 3.755 2.567 11.867
K 3.141 5.466 15.505
K 3.027 4.619 19.129
K 4.750 4.318 6.710
K 4.149 7.242 8.997
K 5.631 1.391 3.027
K 4.970 0.226 13.898
K 4.045 10.549 10.834
Re -1.257 9.467 2.418
Re -0.737 4.302 13.982
Re 0.558 3.609 1.105
Re 0.484 1.593 11.688
Re 2.176 0.509 2.661
Re -0.360 10.855 13.195
Re 2.071 3.244 8.673
Re 1.215 8.583 10.588
Re 3.646 0.973 6.066
Re 1.110 11.318 16.600
Re 2.802 10.234 7.574
Re 2.728 8.219 18.156
Re 4.024 7.526 5.280
Re 4.543 2.360 16.843
N -0.860 4.242 2.031
N -2.467 10.904 8.109
N -1.330 6.932 6.116
N -1.473 2.649 18.562
N -1.221 3.095 15.492
N -1.990 10.239 13.594
N -1.048 11.373 2.620
N 0.167 2.975 12.929
N 1.231 2.061 1.962
N 0.579 3.891 7.901
N 0.376 8.746 2.376
N 0.029 7.280 10.178
N 0.383 5.636 14.450
N 1.601 0.301 12.499
N 1.496 2.275 10.227
N 1.926 4.808 0.987
N -0.391 11.614 17.486
N 0.430 9.882 11.751
N 2.559 0.864 4.525
N 0.728 10.963 14.736
N 2.856 1.945 7.510
N 3.678 0.214 1.775
N 1.360 7.019 18.274
N 1.791 9.552 9.035
N 1.685 11.527 6.762
N 2.903 6.191 4.812
N 3.258 4.547 9.083
N 2.910 3.081 16.885
N 2.708 7.936 11.360
N 2.055 9.766 17.299
N 3.119 8.852 6.332
N 4.334 0.455 16.641
N 5.276 1.588 5.667
N 4.507 8.732 3.769
N 4.759 9.179 0.699
N 4.616 4.896 13.145
N 5.753 0.924 11.153
N 4.147 7.585 17.230
CELL_PARAMETERS angstrom
6.830 0.000 0.000
-2.062 12.375 0.000
-1.481 -0.548 19.261
```

Results
M_tot ... 0.1 μB/cell
ΔH_f (0 K) ... -446 meV per atom


Record 12
VASP calculation (GGA-PBE) on SbF5 after structural relaxation. Values from VASP.

```
&SYSTEM
  ibrav = 0, nat = 12, ntyp = 2
/
ATOMIC_SPECIES
Sb 121.76 Sb.upf
F 19.00 F.upf
ATOMIC_POSITIONS angstrom
Sb 0.000 0.000 0.000
Sb 1.854 2.292 4.608
F 0.000 0.000 1.879
F 0.000 0.000 7.337
F 0.000 1.219 4.608
F 0.000 2.292 0.000
F 0.000 3.364 4.608
F 1.854 0.000 4.608
F 1.854 1.073 0.000
F 1.854 2.292 2.729
F 1.854 2.292 6.487
F 1.854 3.511 0.000
CELL_PARAMETERS angstrom
3.708 0.000 0.000
0.000 4.583 0.000
0.000 0.000 9.216
```

Results
M_tot ... 0.0 μB/cell
ΔH_f (0 K) ... -2215 meV per atom


Record 13
VASP calculation (GGA-PBE) on MnP4 after structural relaxation. Values from VASP.

```
&SYSTEM
  ibrav = 0, nat = 10, ntyp = 2
/
ATOMIC_SPECIES
Mn 54.94 Mn.upf
P 30.97 P.upf
ATOMIC_POSITIONS angstrom
Mn 0.820 1.851 1.400
Mn 7.223 5.893 3.519
P 1.055 3.941 0.382
P 2.291 2.173 3.049
P 3.691 4.932 2.238
P 4.896 3.038 4.869
P 3.147 4.707 0.050
P 4.353 2.812 2.681
P 5.752 5.571 1.871
P 6.989 3.804 4.537
CELL_PARAMETERS angstrom
5.110 0.000 0.000
0.382 5.823 0.000
2.552 1.921 4.920
```

Results
ΔH_f (0 K) ... -361 meV per atom


Record 14
VASP calculation (GGA-PBE) on Mg15Cr after structural relaxation. Values from VASP.

```
&SYSTEM
  ibrav = 0, nat = 16, ntyp = 2
/
ATOMIC_SPECIES
Mg 24.30 Mg.upf
Cr 52.00 Cr.upf
ATOMIC_POSITIONS angstrom
Mg 0.000 0.000 0.000
Mg -1.587 2.750 0.000
Mg -1.586 2.751 5.107
Mg 0.000 1.813 2.581
Mg 0.000 1.813 7.634
Mg -1.605 4.593 2.581
Mg -1.605 4.593 7.634
Mg 0.000 5.498 0.000
Mg 0.000 5.497 5.107
Mg 1.587 2.750 0.000
Mg 1.586 2.751 5.107
Mg 3.175 1.833 2.544
Mg 3.175 1.833 7.671
Mg 1.605 4.593 2.581
Mg 1.605 4.593 7.634
Cr 0.000 0.000 5.107
CELL_PARAMETERS angstrom
6.350 0.000 0.000
-3.175 5.499 0.000
0.000 0.000 10.215
```

Results
M_tot ... 4.1 μB/cell
ΔH_f (0 K) ... 72 meV per atom


no.,calculated density (g cm⁻³)
1,5.04
2,1.79
3,5.92
4,5.68
5,5.63
6,7.17
7,4.44
8,7.56
9,5.41
10,2.83
11,4.40
12,4.60
13,4.06
14,1.94